(1)
Crystalline Fe4S5 at its relaxed geometry. Source: the Materials Project database, functional PBE.

As for the calculated formation energy: -0.724 eV/atom. The value obtained for the total energy is -6.5072 eV per atom. The calculation puts the total magnetization at 0.004 μB/atom. As for the space group: No. 3.

Cell: 7.856 10.372 7.858 Å, 90.00 90.06 90.00°
Fractional positions:
Fe: 0.096 0.000 0.207
Fe: 0.206 0.999 0.905
Fe: 0.294 0.009 0.599
Fe: 0.402 0.010 0.295
Fe: 0.598 0.010 0.705
Fe: 0.706 0.009 0.401
Fe: 0.794 0.999 0.095
Fe: 0.904 0.000 0.793
S: 0.000 0.120 0.000
S: 0.111 0.881 0.709
S: 0.201 0.126 0.391
S: 0.298 0.882 0.114
S: 0.390 0.125 0.795
S: 0.500 0.888 0.500
S: 0.610 0.125 0.205
S: 0.702 0.882 0.886
S: 0.799 0.126 0.609
S: 0.889 0.881 0.291



(2)
Crystalline KEuF4 at its relaxed geometry. Source: the Materials Project database, functional PBE.

As for the calculated formation energy: -3.609 eV/atom. The value obtained for the total energy is -6.4717 eV per atom. As for the space group: No. 62.

Cell: 6.303 3.716 15.723 Å, 90.00 90.00 90.00°
Fractional positions:
K: 0.224 0.250 0.201
K: 0.276 0.750 0.701
K: 0.724 0.250 0.299
K: 0.776 0.750 0.799
Eu: 0.249 0.750 0.439
Eu: 0.251 0.250 0.939
Eu: 0.749 0.750 0.061
Eu: 0.751 0.250 0.561
F: 0.003 0.250 0.058
F: 0.089 0.250 0.807
F: 0.107 0.250 0.365
F: 0.134 0.250 0.536
F: 0.366 0.750 0.036
F: 0.393 0.750 0.865
F: 0.411 0.750 0.307
F: 0.497 0.750 0.558
F: 0.503 0.250 0.442
F: 0.589 0.250 0.693
F: 0.607 0.250 0.135
F: 0.634 0.250 0.964
F: 0.866 0.750 0.464
F: 0.893 0.750 0.635
F: 0.911 0.750 0.193
F: 0.997 0.750 0.942



(3)
Crystalline LiAgF2 at its relaxed geometry. Source: the Materials Project database, functional PBE.

As for the calculated formation energy: -2.099 eV/atom. The value obtained for the total energy is -4.0106 eV per atom. The calculation puts the total magnetization at 0.000 μB/atom. As for the space group: No. 62.

Cell: 12.325 2.919 5.691 Å, 90.00 90.00 90.00°
Fractional positions:
Li: 0.216 0.250 0.110
Li: 0.284 0.750 0.610
Li: 0.716 0.250 0.390
Li: 0.784 0.750 0.890
Ag: 0.027 0.750 0.708
Ag: 0.473 0.250 0.208
Ag: 0.527 0.750 0.792
Ag: 0.973 0.250 0.292
F: 0.108 0.750 0.095
F: 0.178 0.250 0.567
F: 0.322 0.750 0.067
F: 0.392 0.250 0.595
F: 0.608 0.750 0.405
F: 0.678 0.250 0.933
F: 0.822 0.750 0.433
F: 0.892 0.250 0.905



(4)
Crystalline ZrIn3 at its relaxed geometry. Source: the Materials Project database, functional PBE.

As for the calculated formation energy: -0.211 eV/atom. The value obtained for the total energy is -4.4120 eV per atom. As for the space group: No. 139.

Cell: 4.297 4.297 9.953 Å, 90.00 90.00 90.00°
Fractional positions:
Zr: 0.000 0.000 0.000
Zr: 0.500 0.500 0.500
In: 0.000 0.000 0.500
In: 0.000 0.500 0.250
In: 0.000 0.500 0.750
In: 0.500 0.000 0.250
In: 0.500 0.000 0.750
In: 0.500 0.500 0.000



(5)
Crystalline MgSnBiO4 at its relaxed geometry. Source: the Materials Project database, functional PBE.

As for the calculated formation energy: -1.861 eV/atom. The value obtained for the total energy is -5.6529 eV per atom. The calculation puts the total magnetization at 0.000 μB/atom. As for the space group: No. 8.

Cell: 13.399 4.205 4.424 Å, 90.00 108.46 90.00°
Fractional positions:
Mg: 0.000 0.000 0.000
Mg: 0.500 0.500 0.000
Sn: 0.001 0.500 0.501
Sn: 0.501 0.000 0.501
Bi: 0.282 0.000 0.789
Bi: 0.782 0.500 0.789
O: 0.010 0.500 0.010
O: 0.046 0.000 0.544
O: 0.340 0.000 0.348
O: 0.346 0.500 0.853
O: 0.510 0.000 0.010
O: 0.546 0.500 0.544
O: 0.840 0.500 0.348
O: 0.846 0.000 0.853



(6)
Crystalline La2YC6 at its relaxed geometry. Source: the Materials Project database, functional PBE.

As for the calculated formation energy: -0.164 eV/atom. The value obtained for the total energy is -8.1321 eV per atom. The calculation puts the total magnetization at 0.000 μB/atom. As for the space group: No. 12.

Cell: 4.227 4.227 10.111 Å, 97.51 97.51 53.87°
Fractional positions:
La: 0.165 0.165 0.170
La: 0.835 0.835 0.830
Y: 0.500 0.500 0.500
C: 0.100 0.100 0.683
C: 0.236 0.236 0.619
C: 0.434 0.434 0.035
C: 0.566 0.566 0.965
C: 0.764 0.764 0.381
C: 0.900 0.900 0.317